# 1
V4O3F9 | PBE+U | optimized geometry

a = 5.2673 Å, b = 5.3715 Å, c = 17.3546 Å
α = 87.66°, β = 98.70°, γ = 118.92°
Last column: nearest neighbours and their distance in Å.
Sites, in units of the cell vectors:
O: 0.0401 0.3062 0.9398  1 V 1.68
O: 0.5918 0.5754 0.1644  1 V 1.69
O: 0.4631 0.4485 0.3107  1 V 1.68
O: 0.0376 0.7908 0.4400  1 V 1.68
O: 0.5539 0.5761 0.6870  1 V 1.69
O: 0.4581 0.9512 0.8091  1 V 1.69
V: 0.9984 0.5174 0.4966  1 O 1.68
V: 0.2499 0.1198 0.3752  4 F 1.95-1.96, 2 O 1.98-1.99
V: 0.5025 0.7189 0.2529  1 O 1.68
V: 0.2511 0.6312 0.8747  2 O 1.96-1.97, 4 F 1.96-2.01
V: 0.7323 0.8498 0.6302  1 O 1.69
V: 0.7339 0.3922 0.1274  1 O 1.69
V: 0.5016 0.2316 0.7536  1 O 1.69
V: 0.9976 0.0309 0.9962  1 O 1.68
F: 0.0685 0.3208 0.4149  2 V 1.95-1.98
F: 0.5801 0.7934 0.9651  2 V 1.93-2.01
F: 0.9530 0.1834 0.5624  2 V 2.02-2.04
F: 0.0804 0.5378 0.2095  2 V 1.97-1.98
F: 0.9210 0.4610 0.7854  2 V 1.94-2.01
F: 0.9671 0.6932 0.0598  2 V 1.96-2.04
F: 0.9362 0.6709 0.5889  2 V 1.97
F: 0.9180 0.1696 0.0873  2 V 1.96-2.06
F: 0.0796 0.0609 0.7096  2 V 1.97-1.98
F: 0.4260 0.6996 0.5380  2 V 1.97-2.00
F: 0.9275 0.9639 0.2874  2 V 1.96-1.98
F: 0.4229 0.2046 0.0386  2 V 1.96-1.99
F: 0.4325 0.4254 0.8358  2 V 1.97
F: 0.5355 0.0513 0.1872  2 V 1.96-2.03
F: 0.4282 0.9191 0.3344  2 V 1.95-2.00
F: 0.5716 0.0901 0.6602  2 V 1.97
F: 0.5712 0.2815 0.4632  2 V 1.96-1.98
F: 0.0688 0.8336 0.9144  2 V 1.96-1.99

## Properties
* total energy: -6.411 eV per atom

=====

# 2
Li17Ni11O28 | PBE+U | optimized geometry

a = 6.4392 Å, b = 7.5945 Å, c = 10.2038 Å
α = 111.48°, β = 92.86°, γ = 90.46°
Last column: nearest neighbours and their distance in Å.
Sites, in units of the cell vectors:
Li: 0.5000 0.0000 0.5000  6 O 2.01-2.04
Li: 0.8971 0.8201 0.4312  6 O 1.99-2.20
Li: 0.4664 0.1098 0.1444  6 O 2.00-2.18
Li: 0.6767 0.4665 0.2857  6 O 2.02-2.18
Li: 0.0722 0.2883 0.2153  6 O 2.00-2.09
Li: 0.1029 0.1799 0.5688  6 O 1.99-2.20
Li: 0.5336 0.8902 0.8556  6 O 2.00-2.18
Li: 0.9278 0.7117 0.7847  6 O 2.00-2.09
Li: 0.1812 0.9704 0.2904  6 O 2.03-2.17
Li: 0.7608 0.2524 0.0035  5 O 2.00-2.16
Li: 0.6113 0.6874 0.5746  6 O 2.03-2.20
Li: 0.0318 0.3959 0.8536  6 O 1.99-2.22
Li: 0.9682 0.6041 0.1464  6 O 1.99-2.22
Li: 0.3233 0.5335 0.7143  6 O 2.02-2.18
Li: 0.3887 0.3126 0.4254  6 O 2.03-2.20
Li: 0.8188 0.0296 0.7096  6 O 2.03-2.17
Li: 0.2392 0.7476 0.9965  5 O 2.00-2.16
Ni: 0.2854 0.6460 0.3580  6 O 1.88-1.91
Ni: 0.5688 0.7908 0.2164  6 O 1.89-2.09
Ni: 0.8590 0.9339 0.0741  6 O 1.88-1.91
Ni: 0.4312 0.2092 0.7836  6 O 1.89-2.09
Ni: 0.7146 0.3540 0.6420  6 O 1.88-1.91
Ni: 0.6465 0.5710 0.9276  6 O 1.90-2.07
Ni: 0.7851 0.1456 0.3577  6 O 1.88-1.91
Ni: 0.3535 0.4290 0.0724  6 O 1.90-2.07
Ni: 0.2149 0.8544 0.6423  6 O 1.88-1.91
Ni: 0.1410 0.0661 0.9259  6 O 1.88-1.91
Ni: 0.0000 0.5000 0.5000  6 O 1.92-2.09
O: 0.4940 0.9509 0.6809  2 Ni 1.90-1.91, 3 Li 2.00-2.07
O: 0.2635 0.6971 0.1912  3 Ni 1.88-2.06, 2 Li 1.99-2.04
O: 0.4244 0.1536 0.9522  3 Ni 1.91-2.07, 2 Li 2.03-2.11
O: 0.5689 0.7289 0.3797  2 Ni 1.89-1.90, 2 Li 2.02-2.04
O: 0.0652 0.2409 0.3957  2 Ni 1.91-1.92, 4 Li 1.99-2.13
O: 0.0031 0.5586 0.3328  2 Ni 1.90-1.92, 3 Li 2.01-2.06
O: 0.9238 0.6773 0.9754  2 Ni 1.90-1.92, 3 Li 2.02-2.08
O: 0.3592 0.4703 0.8970  3 Ni 1.93-1.97, 3 Li 2.09-2.16
O: 0.3054 0.6095 0.5333  3 Ni 1.90-2.09, 1 Li 2.03
O: 0.6946 0.3905 0.4667  3 Ni 1.90-2.09, 1 Li 2.03
O: 0.8571 0.9885 0.9087  2 Ni 1.88-1.90, 2 Li 2.00-2.09
O: 0.2035 0.8933 0.4695  2 Ni 1.89-1.90, 3 Li 2.03-2.11
O: 0.7365 0.3029 0.8088  3 Ni 1.88-2.06, 2 Li 1.99-2.04
O: 0.1266 0.0981 0.7497  3 Ni 1.88-2.09, 1 Li 2.03
O: 0.5756 0.8464 0.0478  3 Ni 1.91-2.07, 2 Li 2.03-2.11
O: 0.2250 0.8175 0.8173  2 Ni 1.90-1.91, 3 Li 2.03-2.08
O: 0.1429 0.0115 0.0913  2 Ni 1.88-1.90, 2 Li 2.00-2.09
O: 0.3678 0.3974 0.2484  2 Ni 1.90, 2 Li 2.03
O: 0.0762 0.3227 0.0246  2 Ni 1.90-1.92, 3 Li 2.02-2.08
O: 0.9348 0.7591 0.6043  2 Ni 1.91-1.92, 4 Li 1.99-2.13
O: 0.7750 0.1825 0.1827  2 Ni 1.90-1.91, 3 Li 2.03-2.08
O: 0.8734 0.9019 0.2503  3 Ni 1.88-2.09, 1 Li 2.03
O: 0.6322 0.6026 0.7516  2 Ni 1.90, 2 Li 2.03
O: 0.7965 0.1067 0.5305  2 Ni 1.89-1.90, 3 Li 2.03-2.11
O: 0.4311 0.2711 0.6203  2 Ni 1.89-1.90, 2 Li 2.02-2.04
O: 0.9969 0.4414 0.6672  2 Ni 1.90-1.92, 3 Li 2.01-2.06
O: 0.6408 0.5297 0.1030  3 Ni 1.93-1.97, 3 Li 2.09-2.16
O: 0.5060 0.0491 0.3191  2 Ni 1.90-1.91, 3 Li 2.00-2.07

## Properties
* total energy: -4.883 eV per atom

=====

# 3
Li4V3P8O29 | PBE+U | optimized geometry

a = 9.7477 Å, b = 9.7621 Å, c = 14.1213 Å
α = 89.96°, β = 90.44°, γ = 119.72°
Last column: nearest neighbours and their distance in Å.
Sites, in units of the cell vectors:
O: 0.6666 0.3419 0.5237  1 P 1.48
O: 0.2320 0.0223 0.4317  1 P 1.48
O: 0.2589 0.9162 0.6644  1 P 1.56
O: 0.6717 0.1855 0.1692  1 P 1.58
O: 0.3450 0.2604 0.3274  1 P 1.56
O: 0.0080 0.7985 0.7550  2 P 1.61-1.62
O: 0.5307 0.9114 0.6712  1 P 1.53
O: 0.6571 0.7404 0.6715  1 P 1.56
O: 0.9174 0.3811 0.3303  1 P 1.58
O: 0.2021 0.2133 0.7599  2 P 1.61-1.62
O: 0.0877 0.3452 0.6627  1 P 1.56
O: 0.9988 0.7538 0.9310  1 P 1.50
O: 0.3793 0.8992 0.1791  1 P 1.55
O: 0.3239 0.6467 0.9719  1 P 1.49
O: 0.4796 0.3810 0.8249  1 P 1.54
O: 0.0031 0.8010 0.5737  1 P 1.47
O: 0.3355 0.0833 0.8440  1 P 1.55
O: 0.9070 0.5231 0.8183  1 P 1.54
O: 0.5181 0.3347 0.1744  1 P 1.58
O: 0.0794 0.7410 0.1619  1 P 1.55
O: 0.4715 0.0893 0.3280  1 P 1.53
O: 0.0017 0.2070 0.4263  1 P 1.47
O: 0.2460 0.2470 0.9359  1 P 1.50
O: 0.7445 0.6574 0.8356  1 P 1.54
O: 0.5087 0.1862 0.6662  1 P 1.56
O: 0.2043 0.9958 0.2512  2 P 1.61-1.63
O: 0.7963 0.0032 0.7502  2 P 1.61-1.62
O: 0.7876 0.7930 0.4247  1 P 1.48
O: 0.1881 0.6717 0.3259  1 P 1.60
O: 0.3302 0.5184 0.3228  1 P 1.60
O: 0.4896 0.8138 0.3334  1 P 1.55
O: 0.6683 0.4818 0.6775  1 P 1.58
O: 0.1779 0.5140 0.8213  1 P 1.58
O: 0.9208 0.2622 0.8330  1 P 1.55
O: 0.3307 0.6585 0.4757  1 P 1.48
O: 0.3284 0.8137 0.8329  1 P 1.58
O: 0.7650 0.7561 0.0699  1 P 1.48
O: 0.7944 0.7938 0.2473  2 P 1.60-1.62
O: 0.7736 0.9807 0.5698  1 P 1.49
O: 0.6176 0.5365 0.3300  1 P 1.56
O: 0.6622 0.9150 0.1567  1 P 1.55
O: 0.8102 0.3292 0.6722  1 P 1.60
O: 0.4717 0.6563 0.8194  1 P 1.58
O: 0.0812 0.6198 0.6670  1 P 1.57
O: 0.7695 0.0167 0.9307  1 P 1.48
O: 0.0941 0.4778 0.1802  1 P 1.54
O: 0.9939 0.2037 0.2444  2 P 1.61-1.63
O: 0.2553 0.3396 0.1603  1 P 1.55
O: 0.0019 0.2461 0.0672  1 P 1.50
O: 0.8178 0.4835 0.1785  1 P 1.58
O: 0.2385 0.9964 0.0716  1 P 1.50
O: 0.7435 0.0834 0.3363  1 P 1.56
O: 0.2057 0.1973 0.5818  1 P 1.49
O: 0.6711 0.3443 0.0274  1 P 1.49
O: 0.5238 0.6180 0.1769  1 P 1.56
O: 0.3842 0.4607 0.6687  1 P 1.54
O: 0.6207 0.1001 0.8195  1 P 1.56
O: 0.9136 0.6572 0.3359  1 P 1.56
V: 0.5697 0.5671 0.7492  6 O 1.84-1.94
V: 0.0006 0.5643 0.2595  6 O 1.84-2.04
V: 0.4332 0.9991 0.7520  6 O 1.85-2.02
V: 0.9966 0.4342 0.7376  6 O 1.83-1.99
V: 0.4347 0.4394 0.2548  6 O 1.83-2.02
V: 0.5687 0.0006 0.2482  6 O 1.87-2.00
P: 0.3372 0.6695 0.3714  4 O 1.48-1.60
P: 0.3275 0.6594 0.8669  4 O 1.49-1.58
P: 0.0837 0.7812 0.6568  4 O 1.47-1.62
P: 0.6597 0.3327 0.6282  4 O 1.48-1.60
P: 0.7750 0.0937 0.8394  4 O 1.48-1.61
P: 0.9128 0.6808 0.8399  4 O 1.50-1.61
P: 0.3202 0.2340 0.8458  4 O 1.50-1.61
P: 0.3160 0.0892 0.3417  4 O 1.48-1.63
P: 0.2248 0.3062 0.6608  4 O 1.49-1.62
P: 0.2266 0.9076 0.1611  4 O 1.50-1.61
P: 0.6840 0.7680 0.1548  4 O 1.48-1.62
P: 0.7766 0.6953 0.3415  4 O 1.48-1.60
P: 0.9180 0.2205 0.3429  4 O 1.47-1.63
P: 0.6686 0.3365 0.1327  4 O 1.49-1.58
P: 0.6869 0.9119 0.6593  4 O 1.49-1.62
P: 0.0873 0.3196 0.1583  4 O 1.50-1.61
Li: 0.3201 0.2288 0.0619  3 O 1.96-2.05
Li: 0.0913 0.3228 0.9382  3 O 1.98-2.07
Li: 0.2243 0.9064 0.9395  3 O 1.95-2.04
Li: 0.9995 0.9969 0.5068  5 O 2.15-2.34
Li: 0.7763 0.0840 0.0578  3 O 1.90-2.03
Li: 0.3297 0.0949 0.5586  4 O 1.94-2.14
Li: 0.9058 0.6783 0.0553  3 O 1.88-2.11
Li: 0.6724 0.9064 0.4447  3 O 1.95-2.15

## Properties
* total energy: -7.043 eV per atom

=====

# 4
Li4Cr3NiO8 | PBE+U | optimized geometry

a = 5.1373 Å, b = 5.8859 Å, c = 5.8859 Å
α = 60.39°, β = 73.19°, γ = 73.19°
Last column: nearest neighbours and their distance in Å.
Sites, in units of the cell vectors:
Li: 0.0013 0.5011 0.5010  6 O 2.10-2.23
Li: 0.9987 0.9990 0.9990  6 O 2.10-2.23
Li: 0.0000 0.5065 0.9936  6 O 2.14-2.18
Li: 0.0000 0.9936 0.5064  6 O 2.14-2.18
Cr: 0.5000 0.7500 0.2500  6 O 2.02-2.03
Cr: 0.5000 0.2500 0.2500  6 O 1.95-2.02
Cr: 0.5000 0.2500 0.7500  6 O 2.02-2.03
O: 0.7257 0.8963 0.3638  2 Cr 1.95-2.03, 1 Ni 2.09, 2 Li 2.10-2.16
O: 0.2728 0.1221 0.1222  3 Cr 2.02-2.03, 3 Li 2.18
O: 0.2719 0.6191 0.6190  2 Cr 2.02, 1 Ni 2.05, 3 Li 2.12-2.14
O: 0.7270 0.3779 0.3780  3 Cr 2.02-2.03, 3 Li 2.18
O: 0.7257 0.3638 0.8964  2 Cr 1.95-2.03, 1 Ni 2.09, 2 Li 2.10-2.16
O: 0.2744 0.1361 0.6037  2 Cr 1.95-2.03, 1 Ni 2.09, 2 Li 2.10-2.15
O: 0.2744 0.6037 0.1360  2 Cr 1.95-2.03, 1 Ni 2.09, 2 Li 2.10-2.15
O: 0.7281 0.8809 0.8809  2 Cr 2.02, 1 Ni 2.05, 3 Li 2.12-2.14
Ni: 0.5000 0.7500 0.7500  6 O 2.05-2.09

## Properties
* total energy: -6.429 eV per atom

=====

# 5
Ca6Pr6Mn11CrO36 | PBE+U | optimized geometry

a = 5.4546 Å, b = 5.5032 Å, c = 23.1185 Å
α = 90.01°, β = 90.00°, γ = 90.00°
Last column: nearest neighbours and their distance in Å.
Sites, in units of the cell vectors:
O: 0.7817 0.2183 0.4868  2 Mn 1.97-1.98
O: 0.7817 0.2178 0.8206  2 Mn 1.97
O: 0.9271 0.4833 0.2502  2 Mn 1.96-1.98
O: 0.7160 0.7158 0.0140  2 Mn 1.98-1.99
O: 0.5799 0.9840 0.5836  2 Mn 1.97-1.98
O: 0.2153 0.7845 0.5139  2 Mn 1.98-1.99
O: 0.4273 0.0170 0.0836  2 Mn 1.97-1.98
O: 0.2811 0.2821 0.3203  2 Mn 1.97
O: 0.7804 0.2106 0.6803  1 Mn 1.94, 1 Cr 2.01
O: 0.9243 0.4818 0.5822  1 Mn 1.95, 1 Cr 2.00
O: 0.2161 0.7842 0.9862  2 Mn 1.98-1.99
O: 0.7158 0.7161 0.4858  2 Mn 1.98-1.99
O: 0.4259 0.0177 0.7497  2 Mn 1.97-1.98
O: 0.2815 0.2817 0.8465  2 Mn 1.97
O: 0.7814 0.2181 0.3461  2 Mn 1.97
O: 0.7817 0.2181 0.0130  2 Mn 1.97-1.98
O: 0.2817 0.2818 0.9873  2 Mn 1.97-1.98
O: 0.0810 0.5171 0.7511  1 Mn 1.95, 1 Cr 2.00
O: 0.9273 0.4828 0.9161  2 Mn 1.96-1.99
O: 0.7156 0.7150 0.8196  2 Mn 1.98-1.99
O: 0.7153 0.7156 0.1527  2 Mn 1.98-1.99
O: 0.4277 0.0169 0.4163  2 Mn 1.96-1.98
O: 0.0783 0.5160 0.0831  2 Mn 1.96-1.98
O: 0.2813 0.2822 0.5127  2 Mn 1.97
O: 0.2155 0.7843 0.3192  2 Mn 1.98-1.99
O: 0.7154 0.7158 0.3471  2 Mn 1.98-1.99
O: 0.2813 0.2818 0.1796  2 Mn 1.97
O: 0.7814 0.2178 0.1537  2 Mn 1.97
O: 0.5781 0.9843 0.9170  2 Mn 1.97-1.98
O: 0.5784 0.9843 0.2497  2 Mn 1.97-1.98
O: 0.2155 0.7845 0.1806  2 Mn 1.98-1.99
O: 0.0788 0.5167 0.4173  2 Mn 1.96-1.99
O: 0.2896 0.2804 0.6529  1 Mn 1.94, 1 Cr 2.01
O: 0.2157 0.7840 0.8476  2 Mn 1.98-1.99
O: 0.7076 0.7172 0.6813  1 Mn 1.96, 1 Cr 2.02
O: 0.2171 0.7911 0.6521  1 Mn 1.95, 1 Cr 2.03
Pr: 0.9919 0.9638 0.0834  6 O 2.39-2.59
Pr: 0.4920 0.5370 0.5833  6 O 2.38-2.59
Pr: 0.4917 0.5360 0.9167  6 O 2.39-2.59
Pr: 0.9916 0.9641 0.4166  6 O 2.40-2.59
Pr: 0.4910 0.5363 0.2499  6 O 2.40-2.59
Pr: 0.9905 0.9620 0.7500  6 O 2.39-2.59
Ca: 0.0099 0.0432 0.5833  6 O 2.37-2.57
Ca: 0.0094 0.0417 0.9168  6 O 2.37-2.57
Ca: 0.5093 0.4579 0.0833  6 O 2.37-2.57
Ca: 0.0087 0.0420 0.2499  6 O 2.37-2.57
Ca: 0.5085 0.4574 0.7501  6 O 2.36-2.58
Ca: 0.5095 0.4581 0.4166  6 O 2.37-2.57
Mn: 0.0007 0.4992 0.0002  6 O 1.96-1.99
Mn: 0.5001 0.0013 0.5001  6 O 1.97-1.99
Mn: 0.0000 0.4996 0.4999  6 O 1.95-1.99
Mn: 0.4995 0.0008 0.6665  6 O 1.94-1.97
Mn: 0.9995 0.4984 0.8331  6 O 1.95-1.99
Mn: 0.4990 0.0012 0.3331  6 O 1.96-1.99
Mn: 0.4992 0.0007 0.8335  6 O 1.97-1.99
Mn: 0.9995 0.4991 0.1665  6 O 1.97-1.99
Mn: 0.4997 0.0010 0.1668  6 O 1.97-1.99
Mn: 0.9987 0.4990 0.3334  6 O 1.96-1.99
Mn: 0.5005 0.0008 0.9999  6 O 1.97-1.99
Cr: 0.9995 0.4989 0.6669  6 O 2.00-2.03

## Properties
* total energy: -7.491 eV per atom

=====

# 6
Hg2W2O7 | PBE+U | optimized geometry

a = 3.8753 Å, b = 6.2901 Å, c = 14.8859 Å
α = 74.75°, β = 90.00°, γ = 90.00°
Last column: nearest neighbours and their distance in Å.
Sites, in units of the cell vectors:
O: 0.0043 0.2036 0.9294  1 W 1.77
O: 0.0125 0.5000 0.7500  2 W 1.94
O: 0.5010 0.8112 0.6999  2 W 1.88-2.01
O: 0.4990 0.1888 0.3001  2 W 1.88-2.01
O: 0.5010 0.1888 0.8001  2 W 1.88-2.01
O: 0.4990 0.8112 0.1999  2 W 1.88-2.01
O: 0.0104 0.8644 0.8315  1 W 1.99, 1 Hg 2.19
O: 0.0104 0.1356 0.6685  1 W 1.99, 1 Hg 2.19
O: 0.9875 0.5000 0.2500  2 W 1.94
O: 0.9896 0.1356 0.1685  1 W 1.99, 1 Hg 2.19
O: 0.9896 0.8644 0.3315  1 W 1.99, 1 Hg 2.19
O: 0.9957 0.2036 0.4294  1 W 1.77
O: 0.0043 0.7964 0.5706  1 W 1.77
O: 0.9957 0.7964 0.0706  1 W 1.77
Hg: 0.3290 0.3529 0.5618  1 O 2.19
Hg: 0.6710 0.3529 0.0618  1 O 2.19
Hg: 0.6710 0.6471 0.4382  1 O 2.19
Hg: 0.3290 0.6471 0.9382  1 O 2.19
W: 0.9849 0.8111 0.6877  3 O 1.77-1.94
W: 0.0151 0.8111 0.1877  3 O 1.77-1.94
W: 0.9849 0.1889 0.8123  3 O 1.77-1.94
W: 0.0151 0.1889 0.3123  3 O 1.77-1.94

## Properties
* total energy: -6.028 eV per atom

=====

Number 1: ΔE_f -2.9486 eV per atom. Number 2: ΔE_f -1.5367 eV per atom. Number 3: ΔE_f -2.5738 eV per atom. Number 4: ΔE_f -2.1842 eV per atom. Number 5: ΔE_f -2.7538 eV per atom. Number 6: ΔE_f -1.7122 eV per atom.